The following is a PBE calculation of a relaxed structure of DyAl2Ni, from Materials Project.

Results
- ΔH_f (0 K): -0.6371 eV per atom

Unit cell a=5.448 b=5.448 c=6.822 alpha=90.00 beta=90.00 gamma=136.53
Element x y z (fractional)
Dy 0.062 0.938 0.750
Dy 0.938 0.062 0.250
Al 0.345 0.655 0.554
Al 0.345 0.655 0.946
Al 0.655 0.345 0.054
Al 0.655 0.345 0.446
Ni 0.214 0.786 0.250
Ni 0.786 0.214 0.750